(1)
This record from the Materials Project database describes a relaxed structure of Sr2FeSnO6. The functional is PBE+U.

Geometry as extended XYZ:
```
40
Lattice="4.074 -8.062 0.000 4.074 8.062 0.000 0.000 0.000 8.060" Properties=species:S:1:pos:R:3 pbc="T T T"
Sr 2.037 4.031 0.000
Sr 2.037 4.031 4.030
Sr 2.030 0.000 0.000
Sr 2.030 0.000 4.030
Sr 2.037 -4.031 0.000
Sr 2.037 -4.031 4.030
Sr 6.118 0.000 0.000
Sr 6.118 0.000 4.030
Fe 4.074 6.048 6.045
Fe 4.074 2.014 2.015
Fe 4.074 -2.014 6.045
Fe 4.074 -6.048 2.015
Sn 4.074 6.045 2.015
Sn 4.074 2.017 6.045
Sn 4.074 -2.017 2.015
Sn 4.074 -6.045 6.045
O 4.074 8.024 6.045
O 1.982 2.015 2.015
O 4.074 6.056 4.073
O 4.074 6.056 8.016
O 2.036 2.014 6.045
O 4.074 4.075 6.045
O 4.074 4.002 2.015
O 1.982 -2.015 6.045
O 2.036 -2.014 2.015
O 4.074 2.016 0.034
O 4.074 2.016 3.996
O 4.074 0.039 2.015
O 4.074 -0.039 6.045
O 4.074 -2.016 4.064
O 4.074 -2.016 8.026
O 6.112 2.014 6.045
O 6.166 2.015 2.015
O 4.074 -4.002 6.045
O 4.074 -4.075 2.015
O 6.112 -2.014 2.015
O 4.074 -6.056 0.044
O 4.074 -6.056 3.986
O 6.166 -2.015 6.045
O 4.074 -8.024 2.015
```

Results
The value obtained for the mass density is 5593 kg/m³. The calculation puts the energy of formation at -2.3738 eV/atom. Its MP2020-corrected energy is -6.93 eV/atom. Its symmetry is Cmcm (63).



(2)
This record from the Materials Project database describes a relaxed structure of Sr2FeSnO6. The functional is PBE+U.

Geometry as extended XYZ:
```
10
Lattice="0.000 4.026 4.026 4.026 0.000 4.026 4.026 4.026 0.000" Properties=species:S:1:pos:R:3 pbc="T T T"
Sr 2.013 2.013 2.013
Sr 6.038 6.038 6.038
Fe 0.000 0.000 0.000
Sn 4.026 4.026 4.026
O 4.026 4.026 1.971
O 4.026 1.971 4.026
O 6.080 4.026 4.026
O 1.971 4.026 4.026
O 4.026 6.080 4.026
O 4.026 4.026 6.080
```

Results
The value obtained for the mass density is 5673 kg/m³. The calculation puts the energy of formation at -2.3766 eV/atom. Its MP2020-corrected energy is -6.93 eV/atom. Its symmetry is Fm-3m (225).



(3)
This record from the Materials Project database describes a relaxed structure of SrFeSnWO6. The functional is PBE+U.

Geometry as extended XYZ:
```
10
Lattice="0.000 4.017 4.017 4.017 0.000 4.017 4.017 4.017 0.000" Properties=species:S:1:pos:R:3 pbc="T T T"
Sr 0.000 0.000 0.000
Fe 6.025 6.025 6.025
Sn 4.017 4.017 4.017
W 2.008 2.008 2.008
O 2.008 2.008 0.034
O 2.008 0.034 2.008
O 3.983 2.008 2.008
O 0.034 2.008 2.008
O 2.008 3.983 2.008
O 2.008 2.008 3.983
```

Results
The value obtained for the mass density is 6945 kg/m³. The calculation puts the energy of formation at -2.0967 eV/atom. Its MP2020-corrected energy is -7.78 eV/atom. Its symmetry is F-43m (216).



(4)
This record from the Materials Project database describes a relaxed structure of Sr4Fe6O13. The functional is PBE+U.

Geometry as extended XYZ:
```
46
Lattice="-5.572 9.942 2.730 5.572 -9.942 2.730 5.572 9.942 -2.730" Properties=species:S:1:pos:R:3 pbc="T T T"
Sr 1.426 3.094 0.000
Sr 6.993 3.246 0.038
Sr 1.421 6.696 0.038
Sr 6.998 6.848 0.000
Sr -1.426 3.094 2.730
Sr 4.150 3.246 2.768
Sr -1.421 6.696 2.768
Sr 4.146 6.848 2.730
Fe 4.415 0.958 -0.016
Fe 4.198 4.934 0.033
Fe 4.198 -4.934 2.763
Fe 4.135 9.262 -0.367
Fe 4.415 -0.958 2.714
Fe 1.437 0.679 2.364
Fe 1.157 10.900 -0.016
Fe 1.373 14.876 0.033
Fe 1.373 5.008 2.763
Fe -4.135 9.262 2.364
Fe 1.157 8.983 2.714
Fe 4.135 10.621 2.364
O 2.776 4.925 -1.326
O 2.776 -4.925 1.405
O 5.545 5.160 -1.356
O 8.664 -0.719 0.548
O 4.722 -0.921 0.722
O 9.664 2.502 0.032
O 2.479 0.719 0.548
O 4.299 2.872 0.117
O 6.422 0.921 0.722
O 0.000 0.000 1.137
O 4.299 -2.872 2.847
O 4.092 7.440 0.032
O 0.027 4.781 1.375
O 2.796 14.866 -1.326
O 2.796 5.017 1.405
O 5.599 5.160 1.375
O 2.479 -0.719 3.279
O 0.850 9.020 0.722
O 1.480 2.502 2.762
O 3.093 10.661 0.548
O 1.272 12.813 0.117
O -0.850 10.863 0.722
O 0.000 0.000 3.867
O 1.272 7.070 2.847
O -4.092 7.440 2.762
O -0.027 4.781 4.105
```

Results
The value obtained for the mass density is 4905 kg/m³. The calculation puts the energy of formation at -2.1856 eV/atom. Its MP2020-corrected energy is -7.49 eV/atom. Its symmetry is Iba2 (45).